No. 1
{
  "formula": "LiGdS2",
  "functional": "PBE-GGA",
  "state": "relaxed",
  "lattice_angstrom": [[3.976, 0.000, 0.000], [0.000, 3.976, 0.000], [0.000, 0.000, 5.369]],
  "species": ["Li", "Gd", "S", "S"],
  "fractional_positions": [[0.000, 0.000, 0.000], [0.500, 0.500, 0.500], [0.000, 0.000, 0.500], [0.500, 0.500, 0.000]],
  "formation_enthalpy_0k_mev_per_atom": -2020,
  "energy_ev_per_atom": -7.833
}



No. 2
{
  "formula": "LiGdS2",
  "functional": "PBE-GGA",
  "state": "relaxed",
  "lattice_angstrom": [[-4.675, 2.541, -3.852], [-6.102, -0.813, -2.295], [-6.067, 2.514, -0.142]],
  "species": ["Li", "Gd", "S", "S"],
  "fractional_positions": [[0.500, 0.500, 0.500], [0.000, 0.000, 0.000], [0.250, 0.250, 0.250], [0.750, 0.750, 0.750]],
  "formation_enthalpy_0k_mev_per_atom": -2083,
  "energy_ev_per_atom": -7.896
}



No. 3
{
  "formula": "LiGdSn",
  "functional": "PBE-GGA",
  "state": "relaxed",
  "lattice_angstrom": [[4.727, -8.188, 0.000], [4.727, 8.188, 0.000], [0.000, 0.000, 7.456]],
  "species": ["Li", "Li", "Li", "Li", "Li", "Li", "Li", "Li", "Gd", "Gd", "Gd", "Gd", "Gd", "Gd", "Gd", "Gd", "Sn", "Sn", "Sn", "Sn", "Sn", "Sn", "Sn", "Sn"],
  "fractional_positions": [[0.833, 0.167, 0.210], [0.833, 0.666, 0.210], [0.334, 0.167, 0.210], [0.167, 0.833, 0.710], [0.167, 0.334, 0.710], [0.666, 0.833, 0.710], [0.667, 0.333, 0.836], [0.333, 0.667, 0.336], [0.487, 0.513, 0.005], [0.487, 0.973, 0.005], [0.027, 0.513, 0.005], [0.513, 0.487, 0.505], [0.513, 0.027, 0.505], [0.973, 0.487, 0.505], [0.000, 0.000, 0.998], [0.000, 0.000, 0.498], [0.833, 0.167, 0.772], [0.833, 0.667, 0.772], [0.333, 0.167, 0.772], [0.167, 0.833, 0.272], [0.167, 0.333, 0.272], [0.667, 0.833, 0.272], [0.667, 0.333, 0.232], [0.333, 0.667, 0.732]],
  "formation_enthalpy_0k_mev_per_atom": -658,
  "total_magnetization_mub_per_cell": 28.00,
  "energy_ev_per_atom": -7.323
}



No. 4
{
  "formula": "GdLuO3",
  "functional": "PBE-GGA",
  "state": "relaxed",
  "lattice_angstrom": [[-4.127, -2.276, 3.157], [3.298, -4.864, 0.805], [3.321, 3.373, 6.774]],
  "species": ["Gd", "Gd", "Gd", "Gd", "Lu", "Lu", "Lu", "Lu", "O", "O", "O", "O", "O", "O", "O", "O", "O", "O", "O", "O"],
  "fractional_positions": [[0.986, 0.054, 0.250], [0.486, 0.446, 0.750], [0.514, 0.554, 0.250], [0.014, 0.946, 0.750], [0.500, 0.000, 0.000], [0.500, 0.000, 0.500], [0.000, 0.500, 0.000], [0.000, 0.500, 0.500], [0.633, 0.065, 0.750], [0.182, 0.186, 0.569], [0.182, 0.186, 0.931], [0.682, 0.314, 0.069], [0.682, 0.314, 0.431], [0.133, 0.435, 0.250], [0.867, 0.565, 0.750], [0.318, 0.686, 0.931], [0.318, 0.686, 0.569], [0.818, 0.814, 0.069], [0.818, 0.814, 0.431], [0.367, 0.935, 0.250]],
  "formation_enthalpy_0k_mev_per_atom": -3954,
  "total_magnetization_mub_per_cell": 28.00,
  "energy_ev_per_atom": -10.230
}